The following is a GGA-PBE calculation of crystalline KHf6CCl15 at its relaxed geometry, from the Materials Project database.

a = 9.7399 Å, b = 13.9414 Å, c = 18.5773 Å
α = 90.00°, β = 90.00°, γ = 90.00°
Closest atoms and distances in Å follow each position.
Positions (direct):
K: 0.8307 0.2474 0.7500  10 Cl 3.36-3.52
K: 0.1693 0.7526 0.2500  10 Cl 3.36-3.52
K: 0.8307 0.7526 0.7500  10 Cl 3.36-3.52
K: 0.1693 0.2474 0.2500  10 Cl 3.36-3.52
Hf: 0.1154 0.5000 0.7500  1 C 2.22
Hf: 0.8846 0.5000 0.2500  1 C 2.22
Hf: 0.0804 0.0000 0.1125  1 C 2.23
Hf: 0.9196 0.0000 0.8875  1 C 2.23
Hf: 0.0804 0.0000 0.3875  1 C 2.23
Hf: 0.9196 0.0000 0.6125  1 C 2.23
Hf: 0.3423 0.3850 0.6634  1 C 2.27, 4 Cl 2.51-2.53
Hf: 0.6577 0.6150 0.3366  1 C 2.27, 4 Cl 2.51-2.53
Hf: 0.3423 0.6150 0.8366  1 C 2.27, 4 Cl 2.51-2.53
Hf: 0.6577 0.3850 0.3366  1 C 2.27, 4 Cl 2.51-2.53
Hf: 0.6577 0.3850 0.1634  1 C 2.27, 4 Cl 2.51-2.53
Hf: 0.3423 0.6150 0.6634  1 C 2.27, 4 Cl 2.51-2.53
Hf: 0.6577 0.6150 0.1634  1 C 2.27, 4 Cl 2.51-2.53
Hf: 0.3423 0.3850 0.8366  1 C 2.27, 4 Cl 2.51-2.53
Hf: 0.5714 0.5000 0.7500  1 C 2.22
Hf: 0.4286 0.5000 0.2500  1 C 2.22
Hf: 0.1553 0.1147 0.5295  1 C 2.27, 4 Cl 2.51-2.53
Hf: 0.8447 0.8853 0.4705  1 C 2.27, 4 Cl 2.51-2.53
Hf: 0.1553 0.8853 0.9705  1 C 2.27, 4 Cl 2.51-2.53
Hf: 0.8447 0.1147 0.4705  1 C 2.27, 4 Cl 2.51-2.53
Hf: 0.8447 0.1147 0.0295  1 C 2.27, 4 Cl 2.51-2.53
Hf: 0.1553 0.8853 0.5295  1 C 2.27, 4 Cl 2.51-2.53
Hf: 0.8447 0.8853 0.0295  1 C 2.27, 4 Cl 2.51-2.53
Hf: 0.1553 0.1147 0.9705  1 C 2.27, 4 Cl 2.51-2.53
C: 0.0000 0.0000 0.5000  6 Hf 2.23-2.27
C: 0.0000 0.0000 0.0000  6 Hf 2.23-2.27
C: 0.3438 0.5000 0.7500  6 Hf 2.22-2.27
C: 0.6562 0.5000 0.2500  6 Hf 2.22-2.27
Cl: 0.8166 0.0000 0.7500  2 Hf 2.74
Cl: 0.1834 0.0000 0.2500  2 Hf 2.74
Cl: 0.8425 0.5000 0.7500  2 Hf 2.64-2.66
Cl: 0.1575 0.5000 0.2500  2 Hf 2.64-2.66
Cl: 0.3420 0.5000 0.5595  2 Hf 2.51
Cl: 0.6580 0.5000 0.4405  2 Hf 2.51
Cl: 0.3420 0.5000 0.9405  2 Hf 2.51
Cl: 0.6580 0.5000 0.0595  2 Hf 2.51
Cl: 0.0000 0.2527 0.5000  2 Hf 2.51
Cl: 0.0000 0.7473 0.5000  2 Hf 2.51
Cl: 0.0000 0.7473 0.0000  2 Hf 2.51
Cl: 0.0000 0.2527 0.0000  2 Hf 2.51
Cl: 0.3500 0.2466 0.7500  2 Hf 2.51
Cl: 0.6500 0.7534 0.2500  2 Hf 2.51
Cl: 0.3500 0.7534 0.7500  2 Hf 2.51
Cl: 0.6500 0.2466 0.2500  2 Hf 2.51
Cl: 0.3387 0.2494 0.5630  2 Hf 2.66
Cl: 0.6613 0.7506 0.4370  2 Hf 2.66
Cl: 0.3387 0.7506 0.9370  2 Hf 2.66
Cl: 0.6613 0.2494 0.4370  2 Hf 2.66
Cl: 0.6613 0.2494 0.0630  2 Hf 2.66
Cl: 0.3387 0.7506 0.5630  2 Hf 2.66
Cl: 0.6613 0.7506 0.0630  2 Hf 2.66
Cl: 0.3387 0.2494 0.9370  2 Hf 2.66
Cl: 0.0814 0.1248 0.6588  2 Hf 2.50-2.51
Cl: 0.9186 0.8752 0.3412  2 Hf 2.50-2.51
Cl: 0.0814 0.8752 0.8412  2 Hf 2.50-2.51
Cl: 0.9186 0.1248 0.3412  2 Hf 2.50-2.51
Cl: 0.9186 0.1248 0.1588  2 Hf 2.50-2.51
Cl: 0.0814 0.8752 0.6588  2 Hf 2.50-2.51
Cl: 0.9186 0.8752 0.1588  2 Hf 2.50-2.51
Cl: 0.0814 0.1248 0.8412  2 Hf 2.50-2.51
Cl: 0.0845 0.3747 0.6551  2 Hf 2.50-2.52
Cl: 0.9155 0.6253 0.3449  2 Hf 2.50-2.52
Cl: 0.0845 0.6253 0.8449  2 Hf 2.50-2.52
Cl: 0.9155 0.3747 0.3449  2 Hf 2.50-2.52
Cl: 0.9155 0.3747 0.1551  2 Hf 2.50-2.52
Cl: 0.0845 0.6253 0.6551  2 Hf 2.50-2.52
Cl: 0.9155 0.6253 0.1551  2 Hf 2.50-2.52
Cl: 0.0845 0.3747 0.8449  2 Hf 2.50-2.52
Cl: 0.3416 0.0000 0.5657  2 Hf 2.51
Cl: 0.6584 0.0000 0.4343  2 Hf 2.51
Cl: 0.3416 0.0000 0.9343  2 Hf 2.51
Cl: 0.6584 0.0000 0.0657  2 Hf 2.51
Cl: 0.6010 0.3738 0.6537  2 Hf 2.53
Cl: 0.3990 0.6262 0.3463  2 Hf 2.53
Cl: 0.6010 0.6262 0.8463  2 Hf 2.53
Cl: 0.3990 0.3738 0.3463  2 Hf 2.53
Cl: 0.3990 0.3738 0.1537  2 Hf 2.53
Cl: 0.6010 0.6262 0.6537  2 Hf 2.53
Cl: 0.3990 0.6262 0.1537  2 Hf 2.53
Cl: 0.6010 0.3738 0.8463  2 Hf 2.53
Cl: 0.2612 0.1271 0.0948  2 Hf 2.52-2.53
Cl: 0.7388 0.8729 0.9052  2 Hf 2.52-2.53
Cl: 0.2612 0.8729 0.4052  2 Hf 2.52-2.53
Cl: 0.7388 0.1271 0.9052  2 Hf 2.52-2.53
Cl: 0.7388 0.1271 0.5948  2 Hf 2.52-2.53
Cl: 0.2612 0.8729 0.0948  2 Hf 2.52-2.53
Cl: 0.7388 0.8729 0.5948  2 Hf 2.52-2.53
Cl: 0.2612 0.1271 0.4052  2 Hf 2.52-2.53

Values from the calculation:
Size of the total moment in μB/atom: 0.000
E_form in eV/atom: -2.182
Raw total energy in eV/atom: -6.0339
SG: Pmma, No. 51